# 1
Na2HC2O4 | PBE | optimized geometry

The space group is P2_12_12 (No. 18) and the conventional cell measures 7.327, 9.344 and 3.326 Å, with angles of 90.00, 90.00 and 90.00 degrees. Symmetry generates all atoms from Na at (0.119, 0.239, 0.088), H at (0.000, 0.000, 0.686), C at (0.102, 0.525, 0.567), O at (0.132, 0.657, 0.488) and O at (0.218, 0.432, 0.662).

The value obtained for the size of the total moment is 1.0 μB/f.u. The total energy comes out at -5.9543 eV/atom.

***

# 2
K2HgAuF6 | PBE | optimized geometry

The space group is Fm-3m (No. 225) and the conventional cell measures 9.101, 9.101 and 9.101 Å, with angles of 90.00, 90.00 and 90.00 degrees. Symmetry generates all atoms from K at (0.250, 0.250, 0.250), Hg at (0.000, 0.000, 0.000), Au at (0.000, 0.000, 0.500) and F at (0.000, 0.000, 0.253).

The value obtained for the size of the total moment is 1.0 μB/f.u. The total energy comes out at -3.4643 eV/atom.

***

# 3
Mg2Sn | PBE | optimized geometry

The space group is P6_3/mmc (No. 194) and the conventional cell measures 3.3339, 3.3339 and 15.0336 Å, with angles of 90.00, 90.00 and 120.00 degrees. Symmetry generates all atoms from Mg at (0.3333, 0.6667, 0.0838) and Sn at (0.3333, 0.6667, 0.7500).

The value obtained for the size of the total moment is 0.0 μB/f.u. The total energy comes out at -2.4319 eV/atom.